1.
Computed, not measured: an optimized crystal structure of Na14Y4Zn4Si5S7O48 at the PBE level of DFT.

**Energy of formation**: -2.48 eV/atom
**Total energy**: -6.262 eV/atom

Structure (POSCAR):
```
Na14Y4Zn4Si5S7O48
1.0
18.748 0.034 -0.122
-4.672 8.059 -0.010
-0.155 -0.119 22.990
Si Na O Zn Y S
15 42 144 12 12 21
Cartesian
1.830 2.701 1.859
7.850 7.786 20.998
10.734 2.956 9.412
16.726 2.622 13.258
12.544 0.199 13.235
11.302 2.765 1.850
1.249 2.484 17.332
-1.502 7.692 21.009
10.687 2.381 17.207
-1.864 8.005 5.761
1.385 2.876 9.520
5.931 5.430 17.223
3.293 0.304 13.427
6.033 5.053 1.828
7.608 7.972 5.748
9.560 0.033 11.411
3.374 5.207 9.543
4.504 2.461 7.688
13.763 2.572 7.639
4.461 2.606 18.998
1.757 2.167 20.985
0.012 5.373 3.736
7.564 7.789 1.663
10.861 7.984 13.333
-1.623 2.901 17.064
12.360 5.460 1.850
6.136 0.211 20.869
7.748 2.395 9.581
15.255 5.420 20.908
10.956 2.163 20.904
11.139 2.901 5.733
7.529 2.899 17.025
1.147 2.570 13.367
7.772 7.972 17.164
-0.291 5.225 15.323
-3.065 5.205 5.588
9.096 5.310 15.371
5.737 5.393 21.024
17.022 2.343 9.817
3.122 5.408 1.777
10.626 2.526 13.296
12.678 5.188 9.445
1.502 7.874 13.558
3.346 0.085 17.259
0.033 0.090 22.813
15.490 0.193 20.846
1.772 2.782 5.803
2.844 0.383 9.686
12.224 0.476 9.572
9.435 -0.060 22.865
6.527 5.244 5.490
10.474 7.977 5.698
0.080 0.108 11.592
-1.715 7.985 1.661
13.659 2.554 19.075
2.944 4.936 17.318
9.159 5.191 3.662
15.143 4.273 3.061
7.342 5.583 10.580
1.791 5.115 19.811
14.968 1.014 3.057
3.554 4.251 14.512
0.543 3.986 17.476
0.743 7.148 8.410
3.443 6.561 20.949
-1.896 5.507 17.361
5.683 6.499 16.019
12.038 7.883 15.949
10.430 4.160 1.762
12.204 2.552 0.505
8.177 6.890 22.325
8.467 1.667 4.614
6.197 7.884 20.936
14.796 6.191 18.469
0.987 4.118 1.807
10.402 3.906 8.098
5.730 4.271 3.242
-1.012 6.589 5.801
10.082 7.090 1.723
-0.596 6.905 13.351
3.877 1.132 21.103
5.560 1.121 9.666
6.683 7.726 4.410
0.532 1.823 15.995
14.672 6.359 1.855
6.305 2.743 21.107
8.526 7.107 19.671
2.902 7.829 9.388
7.579 5.365 17.318
-3.764 6.393 16.169
-1.865 5.311 1.869
3.821 4.469 12.059
17.684 1.446 20.801
7.290 5.153 8.192
-2.030 5.574 10.645
8.625 3.725 5.811
10.061 1.724 15.831
12.846 4.197 14.378
1.133 3.738 8.140
8.101 1.326 13.326
10.169 7.092 8.183
-1.323 6.792 22.386
0.643 1.382 9.522
-3.177 7.807 20.946
13.362 4.369 5.620
17.474 1.580 6.905
12.894 6.597 20.851
13.255 1.267 5.617
15.115 1.235 17.161
9.978 3.851 17.267
-2.074 5.179 8.269
-0.841 6.903 19.719
-0.929 3.432 22.176
16.914 0.066 1.913
6.521 2.755 14.541
1.851 0.118 7.090
5.466 0.912 2.983
12.802 1.086 11.871
10.273 6.875 17.231
13.118 4.469 11.959
2.756 2.447 0.531
3.495 1.080 11.988
1.132 6.978 10.784
14.863 1.055 9.473
0.716 3.655 10.791
13.099 6.427 13.376
3.709 6.451 13.394
15.027 4.117 9.505
13.245 1.230 21.035
-2.782 7.814 4.404
15.666 2.799 21.080
13.158 0.912 14.583
2.634 7.817 15.980
5.313 3.925 17.000
0.914 6.749 17.268
12.262 7.822 9.279
2.887 2.577 17.202
3.941 1.058 14.728
14.827 4.213 17.124
1.739 5.085 13.206
-0.815 3.704 5.892
8.343 1.419 20.872
13.177 6.419 6.879
15.804 2.555 11.892
1.645 0.173 13.537
6.471 2.592 12.075
17.579 1.182 13.257
11.186 5.496 5.731
0.920 1.314 1.911
8.315 3.747 13.239
10.461 6.931 10.599
15.846 2.742 14.628
12.340 2.385 17.153
1.805 5.413 5.788
7.520 0.023 1.981
3.746 6.408 6.963
10.404 1.388 1.950
8.187 1.609 7.035
3.572 6.441 4.521
5.824 1.018 0.563
3.047 2.761 9.608
11.355 0.250 7.062
12.176 3.044 3.225
10.899 0.128 13.302
0.725 6.961 1.731
8.690 6.830 13.182
6.468 2.625 5.708
3.694 1.335 5.717
9.994 1.451 9.396
5.627 1.127 17.170
5.231 6.526 1.837
5.522 6.487 9.330
10.049 3.609 10.756
8.088 3.620 19.764
1.013 1.532 18.642
13.063 4.178 21.113
-0.901 3.803 13.372
10.343 1.497 18.559
-1.326 3.616 19.788
12.940 6.504 4.450
14.948 4.331 0.596
8.452 3.442 22.132
-3.844 6.506 9.401
1.791 5.393 22.233
5.458 4.273 0.506
7.344 0.003 18.428
11.211 5.074 19.885
15.229 1.164 0.598
16.777 0.005 18.402
11.285 5.488 22.263
11.067 5.151 13.129
2.715 2.860 3.241
3.982 4.346 5.731
12.381 2.820 9.490
5.672 4.065 9.607
8.542 6.604 5.912
3.555 4.113 21.073
7.646 5.418 1.811
15.800 2.607 5.505
5.204 5.990 18.605
-0.877 1.695 4.630
13.940 2.523 11.311
4.375 2.619 15.788
0.171 0.209 7.982
4.364 2.594 22.738
5.180 7.825 19.155
-0.069 5.345 18.826
9.343 5.344 7.307
9.621 0.335 7.835
4.252 2.638 11.241
0.305 -0.043 19.392
13.712 2.347 4.034
13.708 2.336 22.597
13.908 2.612 15.597
4.636 2.641 4.141
0.067 0.051 3.420
-0.011 0.045 14.921
0.008 5.395 7.297
9.503 0.014 3.340
-0.214 5.266 11.944
9.204 5.308 11.737
9.232 5.309 0.343
4.744 7.975 14.904
-0.064 5.299 0.292
9.259 5.299 18.703
15.915 -0.048 17.204
6.447 5.322 9.407
-2.941 5.327 9.488
2.661 5.306 21.002
-3.388 5.572 17.339
-1.605 2.798 20.994
1.807 7.955 17.235
12.566 5.050 13.194
12.663 5.692 5.689
15.453 0.352 1.812
3.236 5.041 13.306
17.254 2.399 5.681
12.122 5.334 21.034
15.411 5.017 1.820
3.288 5.691 5.763
7.943 2.394 5.791
1.433 7.801 9.580
10.773 7.746 9.376
6.067 0.254 1.795
7.303 2.622 13.297
7.784 2.782 20.966
```



2.
Computed, not measured: an optimized crystal structure of Na6Y4Zn4SiS11O48 at the PBE level of DFT.

**Energy of formation**: -2.33 eV/atom
**Total energy**: -6.306 eV/atom

Structure (POSCAR):
```
Na6Y4Zn4SiS11O48
1.0
18.082 0.001 0.017
-4.520 7.813 0.010
0.021 0.042 23.522
Zn O S Y Na Si
12 144 33 12 18 3
Cartesian
4.523 2.640 4.319
13.552 2.625 11.409
0.108 5.265 7.576
9.108 5.307 19.302
-0.012 5.213 12.083
4.491 7.820 8.252
0.055 5.464 19.282
4.539 2.645 23.163
9.087 5.244 12.117
13.664 2.497 15.907
13.581 2.645 23.171
13.410 2.727 4.321
10.839 0.226 7.115
-2.759 7.739 21.482
3.759 0.857 14.892
6.461 2.883 14.897
5.548 1.168 0.735
2.774 2.465 0.734
14.330 1.009 3.246
8.051 6.761 22.753
1.736 0.111 13.783
14.308 4.193 0.766
14.615 4.083 3.218
1.921 0.246 7.082
-0.718 1.637 21.491
1.843 5.369 22.745
-0.738 6.962 20.369
15.328 2.501 12.537
8.113 1.502 13.770
7.254 0.186 18.979
3.784 6.140 7.133
14.541 1.188 0.778
11.770 7.492 16.415
-2.621 7.601 4.703
3.630 1.209 5.708
1.652 5.080 13.567
3.877 1.129 21.708
12.814 0.889 14.985
5.359 1.301 17.597
1.107 6.674 11.014
-1.021 6.774 22.789
9.865 6.495 17.868
11.888 2.740 10.038
3.483 1.086 12.493
8.240 1.658 4.693
12.615 6.379 21.500
12.926 1.131 21.700
6.207 2.856 21.684
12.859 6.200 13.789
7.940 1.467 7.116
12.815 4.178 12.539
5.198 6.197 2.069
3.782 6.274 13.767
-0.789 3.767 6.051
9.764 1.529 9.729
12.618 1.203 5.791
7.287 4.993 1.881
1.086 3.824 1.874
11.768 2.748 3.174
17.017 1.531 7.089
7.185 5.090 8.621
0.687 6.841 1.883
16.338 0.267 2.034
3.563 3.951 21.717
15.459 2.871 14.981
10.063 6.693 11.049
-0.788 3.651 22.732
10.087 1.381 2.050
-1.001 3.909 13.548
5.305 6.168 18.873
0.777 1.713 16.458
9.831 1.753 16.455
7.296 0.230 2.058
12.495 4.100 14.998
14.331 6.141 18.854
15.244 2.840 21.690
5.202 4.233 17.513
17.089 1.486 13.802
0.691 1.635 9.718
1.689 5.349 6.087
8.291 6.983 20.322
-0.673 6.709 13.540
12.459 6.439 4.589
3.805 4.135 5.790
5.264 4.211 0.748
-0.699 1.790 4.681
15.276 2.442 5.748
14.391 1.388 17.464
10.186 3.678 8.666
11.891 2.564 17.495
2.772 2.765 3.191
6.362 7.672 4.709
-3.448 6.409 9.767
5.509 6.506 9.703
14.237 1.102 10.027
5.716 6.384 16.482
3.589 6.375 21.498
1.026 3.772 8.581
1.912 5.007 20.325
3.389 4.196 14.981
-1.821 5.027 8.559
13.010 4.000 5.734
8.111 3.929 13.526
6.167 2.399 5.764
8.046 6.636 6.053
14.608 3.974 9.978
8.244 3.651 22.781
-1.728 5.354 11.011
-1.734 4.989 1.851
6.379 2.512 12.501
11.823 7.709 9.795
12.574 1.170 12.537
8.328 1.665 21.513
14.270 6.212 2.036
10.237 1.513 18.837
10.876 5.365 22.754
10.810 0.169 13.817
9.730 6.848 1.898
9.789 3.533 11.071
10.591 5.400 5.974
7.370 5.361 17.845
11.779 2.436 0.729
0.763 6.861 8.577
7.989 3.802 20.350
10.955 5.013 20.328
-1.074 3.754 20.296
9.788 3.727 17.832
2.795 2.646 17.506
0.915 6.377 17.804
0.630 3.672 17.813
8.398 6.769 13.578
16.290 0.380 18.932
1.167 1.528 18.854
6.289 7.741 21.496
10.092 3.798 1.860
2.778 2.843 9.899
-3.347 6.351 16.448
0.762 3.623 11.035
8.250 3.629 6.013
2.850 7.613 9.652
3.407 6.296 4.722
1.084 1.413 2.033
5.540 4.051 3.202
5.272 1.011 9.897
5.508 4.084 9.952
10.746 4.997 13.598
12.934 6.130 7.158
14.244 4.183 17.502
3.720 4.225 12.566
7.220 5.449 11.041
-1.690 5.261 17.814
5.264 1.021 3.187
2.733 7.516 16.393
12.599 3.954 21.725
-0.964 6.568 6.054
9.814 6.981 8.623
14.855 4.830 1.966
10.328 7.575 9.906
-3.141 5.496 17.642
7.772 7.611 21.568
2.769 0.022 5.885
2.717 5.157 21.561
3.112 4.942 13.711
1.978 2.610 1.955
5.917 5.531 17.687
-1.369 2.990 21.534
16.208 2.714 13.696
1.375 7.449 9.791
11.751 5.158 21.574
10.416 2.398 17.654
-1.276 7.607 21.586
1.280 3.002 9.818
10.409 2.865 9.909
3.209 0.218 13.659
6.378 5.310 9.848
3.174 5.481 5.963
5.802 0.408 1.961
12.302 0.308 13.699
11.694 0.045 5.933
-2.591 5.161 9.839
12.220 4.828 13.717
10.981 2.585 1.940
7.639 2.266 5.915
1.333 2.377 17.659
7.676 3.016 21.565
5.795 4.818 1.968
7.275 2.725 13.656
-1.322 2.388 5.890
14.844 0.416 1.988
4.620 2.504 16.074
13.574 7.733 8.317
8.969 0.096 20.064
9.037 5.226 0.487
4.492 7.787 3.528
18.021 0.053 20.047
13.453 7.793 15.233
9.096 5.133 7.487
8.974 0.034 15.246
0.012 5.215 0.468
4.526 2.606 11.261
13.553 7.806 3.513
13.413 2.718 7.913
0.140 5.238 4.044
9.096 5.131 4.022
0.019 5.388 15.650
2.812 5.108 17.665
0.022 0.014 0.011
16.367 2.821 17.690
4.538 2.636 7.711
10.312 7.813 5.808
11.882 5.062 17.571
9.044 0.004 0.016
4.668 2.461 19.713
12.447 0.058 17.620
9.102 5.276 15.597
15.146 4.979 5.986
13.638 2.566 19.697
9.101 0.040 11.610
13.542 7.817 11.766
12.229 5.427 5.852
15.312 0.034 17.667
1.770 7.777 17.705
```